--- 1 ---
## SrH16O10 (PBE-GGA)

Data for a geometry-optimized SrH16O10 structure.

Values from the calculation:
Theoretical density ... 1.951 Mg/m³
Space group ... Pc (7)

a = 6.3406 Å, b = 6.3426 Å, c = 11.1619 Å
α = 90.00°, β = 90.11°, γ = 90.00°
Atoms (fractional coordinates):
Sr1 0.0000 0.0063 0.0000
Sr2 0.0000 0.9937 0.5000
H1 0.0388 0.4529 0.8737
H2 0.0388 0.5471 0.3737
H3 0.1409 0.3120 0.7137
H4 0.1409 0.6880 0.2137
H5 0.2769 0.3925 0.6022
H6 0.2769 0.6075 0.1022
H7 0.2794 0.3900 0.8928
H8 0.2794 0.6100 0.3928
H9 0.3150 0.1425 0.2838
H10 0.3150 0.8575 0.7838
H11 0.3870 0.2635 0.4024
H12 0.3870 0.7365 0.9024
H13 0.3911 0.2784 0.1023
H14 0.3911 0.7216 0.6023
H15 0.4493 0.0355 0.1211
H16 0.4493 0.9645 0.6211
H17 0.5503 0.0385 0.8738
H18 0.5503 0.9615 0.3738
H19 0.6094 0.2769 0.6026
H20 0.6094 0.7231 0.1026
H21 0.6116 0.2799 0.8927
H22 0.6116 0.7201 0.3927
H23 0.6881 0.1396 0.7138
H24 0.6881 0.8604 0.2138
H25 0.7219 0.3896 0.1028
H26 0.7219 0.6104 0.6028
H27 0.7356 0.3856 0.4023
H28 0.7356 0.6144 0.9023
H29 0.8572 0.3141 0.2837
H30 0.8572 0.6859 0.7837
H31 0.9651 0.4511 0.1211
H32 0.9651 0.5489 0.6211
O1 0.1340 0.3296 0.6243
O2 0.1340 0.6704 0.1243
O3 0.1367 0.3290 0.8679
O4 0.1367 0.6710 0.3679
O5 0.3284 0.1366 0.1289
O6 0.3284 0.8634 0.6289
O7 0.3311 0.1229 0.3734
O8 0.3311 0.8771 0.8734
O9 0.5004 0.4945 0.0675
O10 0.5004 0.5055 0.5675
O11 0.5030 0.4971 0.4334
O12 0.5030 0.5029 0.9334
O13 0.6700 0.1330 0.6243
O14 0.6700 0.8670 0.1243
O15 0.6734 0.1376 0.8674
O16 0.6734 0.8624 0.3674
O17 0.8651 0.3290 0.1284
O18 0.8651 0.6710 0.6284
O19 0.8754 0.3270 0.3734
O20 0.8754 0.6730 0.8734



--- 2 ---
## SrH16O10 (PBE-GGA)

Data for a geometry-optimized SrH16O10 structure.

Values from the calculation:
Theoretical density ... 1.918 Mg/m³
Space group ... P1 (1)

a = 6.2561 Å, b = 6.5182 Å, c = 11.2079 Å
α = 89.45°, β = 89.53°, γ = 87.91°
Atoms (fractional coordinates):
Sr1 0.0000 0.0000 0.0000
Sr2 0.0102 0.0005 0.4998
H1 0.0318 0.5565 0.1344
H2 0.0439 0.4556 0.8787
H3 0.0596 0.2759 0.1458
H4 0.1324 0.6860 0.2952
H5 0.1486 0.3190 0.7130
H6 0.2692 0.6321 0.1188
H7 0.2767 0.3876 0.5963
H8 0.2820 0.3809 0.9006
H9 0.2857 0.5936 0.3946
H10 0.2979 0.1340 0.2758
H11 0.3277 0.8604 0.7185
H12 0.3807 0.2520 0.1106
H13 0.4017 0.7255 0.6059
H14 0.4022 0.7292 0.9002
H15 0.4489 0.0806 0.3834
H16 0.4606 0.9634 0.8807
H17 0.5121 0.9821 0.1278
H18 0.5510 0.0367 0.6212
H19 0.6138 0.2720 0.6036
H20 0.6140 0.2718 0.8970
H21 0.6186 0.7540 0.1100
H22 0.6387 0.7567 0.3978
H23 0.6657 0.4290 0.4119
H24 0.6833 0.1396 0.7813
H25 0.6924 0.8904 0.2823
H26 0.6942 0.4263 0.0889
H27 0.7291 0.6173 0.6122
H28 0.7411 0.6111 0.8981
H29 0.8712 0.3225 0.2747
H30 0.8735 0.6895 0.7849
H31 0.9744 0.4317 0.3851
H32 0.9735 0.5561 0.6226
O1 0.1237 0.6852 0.1356
O2 0.1362 0.3320 0.6243
O3 0.1381 0.6549 0.3823
O4 0.1429 0.3311 0.8711
O5 0.3035 0.1276 0.1302
O6 0.3039 0.1358 0.3669
O7 0.3415 0.8660 0.6294
O8 0.3405 0.8663 0.8730
O9 0.5150 0.5013 0.5683
O10 0.5238 0.4975 0.9413
O11 0.5385 0.5292 0.4377
O12 0.5463 0.4958 0.0732
O13 0.6557 0.8961 0.1295
O14 0.6705 0.1316 0.8706
O15 0.6723 0.1314 0.6295
O16 0.6964 0.8917 0.3717
O17 0.8671 0.3254 0.3698
O18 0.8717 0.6769 0.6330
O19 0.8814 0.6736 0.8741
O20 0.9133 0.3431 0.1444



Ranked by calculated energy, most stable first: 1, 2.